# RhPb2F7 r2SCAN relaxed
data_RhPb2F7
_chemical_formula_sum 'Rh4 Pb8 F28'
_cell_length_a 5.575
_cell_length_b 11.843
_cell_length_c 8.812
_cell_angle_alpha 90.00
_cell_angle_beta 90.67
_cell_angle_gamma 90.00
_symmetry_space_group_name_H-M 'P 1 21/c 1'
_symmetry_Int_Tables_number 14
_symmetry_space_group_name_Hall '-P 2ybc'
loop_
_atom_site_label
_atom_site_fract_x
_atom_site_fract_y
_atom_site_fract_z
Rh1 0.196 0.132 0.316
Pb1 0.267 0.056 0.848
Pb2 0.280 0.706 0.950
F1 0.013 0.731 0.689
F2 0.085 0.099 0.104
F3 0.099 0.551 0.128
F4 0.287 0.166 0.529
F5 0.386 0.510 0.817
F6 0.392 0.605 0.493
F7 0.493 0.224 0.277
# Final energy = -18.13 eV/atom
# ΔE_f = -2.2749 eV per atom